{
  "formula": "LiSbP4O12",
  "functional": "PBE",
  "state": "relaxed",
  "lattice_angstrom": [[5.998, 3.924, 0.000], [-5.998, 3.924, 0.000], [0.000, 1.414, 10.143]],
  "species": ["Li", "Li", "Sb", "Sb", "P", "P", "P", "P", "P", "P", "P", "P", "O", "O", "O", "O", "O", "O", "O", "O", "O", "O", "O", "O", "O", "O", "O", "O", "O", "O", "O", "O", "O", "O", "O", "O"],
  "fractional_positions": [[0.321, 0.679, 0.750], [0.679, 0.321, 0.250], [0.607, 0.393, 0.750], [0.393, 0.607, 0.250], [0.153, 0.781, 0.011], [0.781, 0.153, 0.511], [0.740, 0.788, 0.942], [0.212, 0.260, 0.558], [0.788, 0.740, 0.442], [0.260, 0.212, 0.058], [0.219, 0.847, 0.489], [0.847, 0.219, 0.989], [0.314, 0.808, 0.901], [0.604, 0.084, 0.618], [0.657, 0.683, 0.822], [0.808, 0.314, 0.401], [0.380, 0.308, 0.925], [0.084, 0.604, 0.118], [0.191, 0.031, 0.558], [0.768, 0.017, 0.909], [0.983, 0.232, 0.591], [0.969, 0.809, 0.942], [0.683, 0.657, 0.322], [0.692, 0.620, 0.575], [0.308, 0.380, 0.425], [0.317, 0.343, 0.678], [0.031, 0.191, 0.058], [0.017, 0.768, 0.409], [0.232, 0.983, 0.091], [0.809, 0.969, 0.442], [0.916, 0.396, 0.882], [0.620, 0.692, 0.075], [0.192, 0.686, 0.599], [0.343, 0.317, 0.178], [0.396, 0.916, 0.382], [0.686, 0.192, 0.099]],
  "m_tot_mub_per_cell": 0.0,
  "spacegroup": "No. 15",
  "relative_energy_mev_per_atom": 63,
  "energy_corrected_mp2020_ev_per_cell": -262.57
}